[1]
Li2Fe2Si8O19 | the Materials Project | PBE with a Hubbard U | optimized geometry; V = 12.62 A^3/atom; energy of formation = -2.89 eV per atom; MP2020-corrected energy = -7.9878 eV/atom; space group = P1
1.0
-4.463 1.851 0.892
-0.180 -7.161 0.514
5.820 2.413 10.639
Li Fe Si O
2 2 8 19
direct
0.336 0.001 0.606
0.732 0.996 0.396
0.181 0.736 0.412
0.045 0.274 0.586
0.533 0.311 0.078
0.701 0.857 0.824
0.689 0.720 0.569
0.476 0.726 0.171
0.580 0.275 0.829
0.400 0.275 0.430
0.022 0.143 0.175
0.143 0.689 0.922
0.259 0.129 0.102
0.841 0.271 0.118
0.663 0.728 0.699
0.001 0.725 0.545
0.577 0.530 0.154
0.603 0.906 0.531
0.381 0.762 0.287
0.674 0.074 0.815
0.214 0.694 0.057
0.463 0.306 0.943
0.785 0.926 0.183
0.334 0.241 0.712
0.168 0.090 0.468
0.895 0.470 0.847
0.731 0.271 0.454
0.236 0.271 0.300
0.408 0.497 0.501
0.448 0.729 0.881
0.023 0.870 0.898

[2]
LiFeSiO4 | the Materials Project | PBE with a Hubbard U | optimized geometry; V = 12.75 A^3/atom; energy of formation = -2.52 eV per atom; MP2020-corrected energy = -7.6006 eV/atom; space group = Pc
1.0
-1.478 4.998 -0.080
-0.910 -0.349 -4.990
-7.245 -2.202 -3.670
Li Fe Si O
2 2 2 8
direct
0.681 0.508 0.003
0.319 0.508 0.503
0.322 0.010 0.005
0.678 0.010 0.505
0.815 0.761 0.253
0.185 0.761 0.753
0.664 0.842 0.056
0.124 0.715 0.239
0.762 0.070 0.264
0.683 0.429 0.450
0.336 0.842 0.556
0.876 0.715 0.739
0.238 0.070 0.764
0.317 0.429 0.950

[3]
Li2FeSiO4 | the Materials Project | PBE with a Hubbard U | optimized geometry; V = 11.68 A^3/atom; energy of formation = -2.51 eV per atom; MP2020-corrected energy = -7.1967 eV/atom; space group = Pca2_1
1.0
5.456 0.000 0.000
0.000 10.610 0.000
0.000 0.000 12.914
Li Fe Si O
16 8 8 32
direct
0.965 0.972 0.561
0.464 0.950 0.942
0.359 0.211 0.297
0.846 0.209 0.200
0.846 0.291 0.700
0.359 0.289 0.797
0.965 0.528 0.061
0.464 0.550 0.442
0.536 0.450 0.942
0.035 0.472 0.561
0.641 0.711 0.297
0.154 0.709 0.200
0.154 0.791 0.700
0.641 0.789 0.797
0.035 0.028 0.061
0.536 0.050 0.442
0.973 0.035 0.814
0.517 0.205 0.056
0.517 0.295 0.556
0.973 0.465 0.314
0.027 0.535 0.814
0.483 0.705 0.056
0.483 0.795 0.556
0.027 0.965 0.314
0.480 0.035 0.691
0.019 0.214 0.438
0.019 0.286 0.938
0.480 0.465 0.191
0.520 0.535 0.691
0.981 0.714 0.438
0.981 0.786 0.938
0.520 0.965 0.191
0.386 0.020 0.297
0.811 0.013 0.192
0.896 0.073 0.432
0.399 0.028 0.086
0.520 0.190 0.690
0.007 0.224 0.819
0.317 0.199 0.458
0.889 0.197 0.027
0.889 0.303 0.527
0.317 0.301 0.958
0.007 0.276 0.319
0.520 0.310 0.190
0.399 0.472 0.586
0.896 0.427 0.932
0.811 0.487 0.692
0.386 0.480 0.797
0.614 0.520 0.297
0.189 0.513 0.192
0.104 0.573 0.432
0.601 0.528 0.086
0.480 0.690 0.690
0.993 0.724 0.819
0.683 0.699 0.458
0.111 0.697 0.027
0.111 0.803 0.527
0.683 0.801 0.958
0.993 0.776 0.319
0.480 0.810 0.190
0.601 0.972 0.586
0.104 0.927 0.932
0.189 0.987 0.692
0.614 0.980 0.797

The calculation returns the following M_tot values, one per record and in order: 8.0, 10.0, 0.0 Bohr magnetons per cell.